# 1
Computed, not measured: crystalline RbCr2BiO8 at its relaxed geometry at the PBE with a Hubbard U level of DFT.

The structure in POSCAR format:
```
RbCr2BiO8
1.0
5.7657 0.0000 0.0000
0.0000 10.2596 0.0000
0.0000 0.0000 13.4543
O Bi Cr Rb
32 4 8 4
direct
0.5273 0.6596 0.0996
0.7109 0.5741 0.8899
0.4727 0.3404 0.9004
0.3168 0.8977 0.4669
0.1832 0.6023 0.9669
0.3168 0.6023 0.5331
0.5273 0.8404 0.9004
0.8168 0.3977 0.0331
0.2109 0.0741 0.6101
0.4727 0.1596 0.0996
0.0273 0.3404 0.5996
0.9727 0.8404 0.5996
0.0273 0.1596 0.4004
0.9404 0.3449 0.8500
0.7109 0.9259 0.1101
0.1832 0.8977 0.0331
0.9404 0.1551 0.1500
0.7891 0.5741 0.6101
0.2109 0.4259 0.3899
0.4404 0.6551 0.3500
0.4404 0.8449 0.6500
0.6832 0.1023 0.5331
0.0596 0.6551 0.1500
0.9727 0.6596 0.4004
0.2891 0.4259 0.1101
0.8168 0.1023 0.9669
0.5596 0.3449 0.6500
0.2891 0.0741 0.8899
0.6832 0.3977 0.4669
0.0596 0.8449 0.8500
0.5596 0.1551 0.3500
0.7891 0.9259 0.3899
0.7043 0.7500 0.5000
0.2043 0.2500 0.0000
0.7957 0.7500 0.0000
0.2957 0.2500 0.5000
0.7654 0.4145 0.5826
0.2654 0.5855 0.0826
0.2654 0.9145 0.9174
0.7654 0.0855 0.4174
0.7346 0.4145 0.9174
0.2346 0.5855 0.4174
0.7346 0.0855 0.0826
0.2346 0.9145 0.5826
0.2500 0.5804 0.7500
0.7500 0.4196 0.2500
0.7500 0.0804 0.7500
0.2500 0.9196 0.2500
```

The calculation puts the energy relative to the elements at -2108.5 kJ/mol of formula units. As for the final energy: -6.34 eV per atom.

***

# 2
Computed, not measured: crystalline Mg3NiO4 at its relaxed geometry at the PBE with a Hubbard U level of DFT.

The structure in POSCAR format:
```
Mg3NiO4
1.0
-4.4724 -2.8484 2.8175
2.1071 -2.1277 -5.2045
3.1829 -5.0906 -0.0939
O Mg Ni
8 6 2
direct
0.7500 0.5000 0.7500
0.2500 0.5000 0.7500
0.2500 0.0000 0.2500
0.7500 0.0000 0.2500
0.7500 0.5000 0.2500
0.2500 0.0000 0.7500
0.2500 0.5000 0.2500
0.7500 0.0000 0.7500
0.0000 0.0000 0.5000
0.0000 0.5000 0.5000
0.0000 0.5000 0.0000
0.5000 0.5000 0.0000
0.5000 0.0000 0.0000
0.5000 0.5000 0.5000
0.5000 0.0000 0.5000
0.0000 0.0000 0.0000
```

The calculation puts the energy relative to the elements at -2011.2 kJ/mol of formula units. As for the final energy: -5.74 eV per atom.

***

# 3
Computed, not measured: crystalline Li4V3P8O29 at its relaxed geometry at the PBE with a Hubbard U level of DFT.

The structure in POSCAR format:
```
Li4V3P8O29
1.0
9.7604 0.0000 0.0000
-4.8750 8.4603 0.0000
-0.0796 -0.0661 14.3245
O P V Li
58 16 6 8
direct
0.2211 0.2028 0.5707
0.3233 0.6696 0.0321
0.3829 0.4716 0.8251
0.9132 0.2591 0.6746
0.0047 0.8012 0.9181
0.9138 0.6558 0.1743
0.2102 0.0110 0.4149
0.3397 0.6722 0.5323
0.2337 0.2307 0.9276
0.3831 0.9228 0.3264
0.9074 0.3817 0.1757
0.3430 0.0831 0.6705
0.4749 0.0939 0.1767
0.9897 0.2019 0.4172
0.2647 0.9179 0.8367
0.9152 0.5357 0.6686
0.0844 0.7432 0.3393
0.7970 0.7937 0.4217
0.6749 0.3287 0.4727
0.2456 0.0203 0.0627
0.0806 0.6210 0.8284
0.8050 0.0046 0.9160
0.6413 0.3221 0.9730
0.4847 0.6667 0.6801
0.6625 0.4750 0.8211
0.7430 0.6596 0.6724
0.9907 0.2309 0.0671
0.5120 0.1815 0.8241
0.0796 0.4621 0.3276
0.1976 0.9848 0.2374
0.5449 0.9249 0.8282
0.1916 0.5197 0.6810
0.6184 0.0863 0.6721
0.4648 0.3817 0.6713
0.4774 0.8149 0.1814
0.7922 0.7789 0.0722
0.2011 0.2053 0.7494
0.0173 0.8080 0.7404
0.6182 0.5336 0.1725
0.7439 0.0844 0.1680
0.0159 0.2122 0.2406
0.9766 0.7758 0.5661
0.0840 0.3400 0.8435
0.7908 0.0243 0.5653
0.5374 0.6224 0.3299
0.6760 0.1864 0.3252
0.8151 0.4869 0.3288
0.6592 0.9199 0.3383
0.1840 0.6659 0.1836
0.3393 0.8148 0.6816
0.6581 0.7405 0.8361
0.5142 0.3234 0.3308
0.3383 0.2577 0.1669
0.7931 0.8029 0.2462
0.2585 0.3424 0.3425
0.8122 0.3267 0.8374
0.7918 0.9852 0.7393
0.3266 0.5145 0.1740
0.3098 0.2231 0.6602
0.7737 0.6898 0.1584
0.9129 0.2271 0.1582
0.0849 0.3070 0.3393
0.6954 0.7809 0.3403
0.3151 0.0893 0.1551
0.9146 0.6905 0.6567
0.2216 0.9178 0.3361
0.3301 0.6646 0.1351
0.0877 0.7824 0.8374
0.2283 0.3153 0.8405
0.6973 0.9146 0.8359
0.7775 0.0891 0.6571
0.6697 0.3327 0.3687
0.3337 0.6620 0.6353
0.6610 0.3294 0.8696
0.5646 0.0004 0.2488
0.5700 0.5685 0.7506
0.4386 0.4376 0.2544
0.9999 0.5660 0.2493
0.4364 0.9981 0.7471
0.0002 0.4376 0.7527
0.3323 0.0928 0.9380
0.9026 0.2321 0.9367
0.9951 0.9917 0.5125
0.9080 0.6736 0.4443
0.9292 0.9169 0.9827
0.3224 0.2347 0.4460
0.2312 0.3202 0.0560
0.7654 0.0969 0.4439
```

The calculation puts the energy relative to the elements at -10942.1 kJ/mol of formula units. As for the final energy: -7.05 eV per atom.

***

# 4
Computed, not measured: crystalline P4WO13 at its relaxed geometry at the PBE with a Hubbard U level of DFT.

The structure in POSCAR format:
```
P4WO13
1.0
-1.4956 2.9827 -6.2791
2.8384 -6.7870 -3.9000
-16.0212 -6.9861 0.4975
O P W
52 16 4
direct
0.8300 0.0073 0.2874
0.1076 0.9282 0.5789
0.5746 0.7021 0.7182
0.3924 0.0718 0.0789
0.9926 0.2891 0.5071
0.4288 0.6299 0.5865
0.5303 0.1673 0.3546
0.4926 0.2109 0.4929
0.8621 0.5574 0.7880
0.1700 0.5073 0.2126
0.6532 0.0248 0.5963
0.5824 0.1689 0.1990
0.5803 0.4255 0.0669
0.6066 0.7303 0.8729
0.1066 0.7697 0.1271
0.9176 0.8311 0.6990
0.0803 0.0745 0.9331
0.6076 0.5718 0.4211
0.9697 0.8327 0.8546
0.4176 0.6689 0.3010
0.2054 0.1671 0.4106
0.3621 0.9426 0.2120
0.7946 0.6671 0.0894
0.2475 0.2196 0.1986
0.8924 0.4282 0.9211
0.1379 0.0574 0.7120
0.1532 0.4752 0.4037
0.5074 0.7109 0.0071
0.6700 0.9927 0.7874
0.3300 0.4927 0.7126
0.5712 0.1299 0.9135
0.2525 0.7804 0.6986
0.9254 0.2979 0.2182
0.2946 0.8329 0.9106
0.9288 0.8701 0.4135
0.8468 0.9752 0.0963
0.0712 0.3701 0.0865
0.0824 0.3311 0.8010
0.0746 0.7979 0.2818
0.7054 0.3329 0.5894
0.6379 0.4426 0.2880
0.9197 0.5745 0.5669
0.4254 0.2021 0.7818
0.3934 0.2303 0.6271
0.0074 0.7891 0.9929
0.7525 0.7196 0.3014
0.3468 0.5248 0.9037
0.0303 0.3327 0.6454
0.8934 0.2697 0.3729
0.4697 0.6673 0.1454
0.7475 0.2804 0.8014
0.4197 0.9255 0.4331
0.3999 0.6487 0.6684
0.6016 0.5980 0.3390
0.0696 0.3197 0.4217
0.1001 0.3513 0.1684
0.5696 0.1803 0.5783
0.8999 0.8513 0.3316
0.6001 0.1487 0.8316
0.8984 0.4020 0.8390
0.9141 0.4010 0.5753
0.9304 0.8197 0.0783
0.1016 0.9020 0.6610
0.5859 0.5990 0.0753
0.4141 0.0990 0.4247
0.3984 0.0980 0.1610
0.0859 0.9010 0.9247
0.4304 0.6803 0.9217
0.2330 0.2756 0.7144
0.7670 0.7756 0.7856
0.2670 0.7244 0.2144
0.7330 0.2244 0.2856
```

The calculation puts the energy relative to the elements at -4122.2 kJ/mol of formula units. As for the final energy: -7.13 eV per atom.

***

# 5
Computed, not measured: crystalline Li2Fe5Si5O16 at its relaxed geometry at the PBE with a Hubbard U level of DFT.

The structure in POSCAR format:
```
Li2Fe5Si5O16
1.0
-4.0539 0.4664 3.0520
4.0090 -1.3229 5.5296
1.9933 10.1607 1.1321
Fe O Li Si
5 16 2 5
direct
0.1832 0.5020 0.1634
0.1952 0.9959 0.1480
0.7025 0.0203 0.3455
0.6928 0.5100 0.3547
0.3237 0.9977 0.6522
0.3123 0.9479 0.3353
0.1519 0.2548 0.6191
0.7584 0.2974 0.9303
0.1062 0.5572 0.8411
0.2169 0.9371 0.8406
0.2385 0.7415 0.0585
0.7889 0.4561 0.1632
0.7315 0.2623 0.4538
0.6030 0.6699 0.8758
0.8024 0.0683 0.1454
0.8719 0.7637 0.3814
0.2978 0.5558 0.3435
0.3590 0.2556 0.1063
0.2741 0.7466 0.5620
0.7125 0.4300 0.6887
0.7194 0.0441 0.6680
0.3208 0.4968 0.6444
0.8441 0.0025 0.8372
0.7961 0.4897 0.8357
0.2902 0.7336 0.9041
0.6786 0.2684 0.0869
0.8359 0.2392 0.6037
0.1922 0.7557 0.4113
```

The calculation puts the energy relative to the elements at -6845.9 kJ/mol of formula units. As for the final energy: -7.18 eV per atom.

***

# 6
Computed, not measured: crystalline Li2VOF3 at its relaxed geometry at the PBE with a Hubbard U level of DFT.

The structure in POSCAR format:
```
Li2VOF3
1.0
5.0188 0.0000 0.0000
0.0000 5.1786 0.0000
0.0000 0.0000 11.5961
F Li O V
12 8 4 4
direct
0.7777 0.6718 0.1974
0.7246 0.6632 0.4397
0.7833 0.1799 0.8123
0.2246 0.3368 0.9397
0.2754 0.3368 0.4397
0.7754 0.6632 0.9397
0.7167 0.1799 0.3123
0.7223 0.6718 0.6974
0.2167 0.8201 0.8123
0.2223 0.3282 0.1974
0.2777 0.3282 0.6974
0.2833 0.8201 0.3123
0.0000 0.5000 0.3521
0.5000 0.5000 0.8521
0.5000 0.0000 0.1275
0.0000 0.0000 0.6275
0.5000 0.0000 0.7080
0.0000 0.5000 0.7784
0.5000 0.5000 0.2784
0.0000 0.0000 0.2080
0.2997 0.8213 0.5605
0.2003 0.8213 0.0605
0.7003 0.1787 0.5605
0.7997 0.1787 0.0605
0.0000 0.5000 0.0715
0.0000 0.0000 0.9428
0.5000 0.0000 0.4428
0.5000 0.5000 0.5715
```

The calculation puts the energy relative to the elements at -1987.5 kJ/mol of formula units. As for the final energy: -5.77 eV per atom.

***

# 7
Computed, not measured: crystalline Li2MnSi2O6 at its relaxed geometry at the PBE with a Hubbard U level of DFT.

The structure in POSCAR format:
```
Li2MnSi2O6
1.0
-3.8611 -3.9398 4.6288
8.4347 -4.7924 2.9567
1.4827 7.1018 7.2814
O Li Mn Si
36 12 6 12
direct
0.9789 0.8012 0.1287
0.5381 0.7041 0.1349
0.9301 0.6082 0.6790
0.9301 0.6082 0.3210
0.0211 0.3012 0.6287
0.5571 0.6440 0.6213
0.4803 0.4021 0.8248
0.2464 0.7201 0.7179
0.5197 0.9021 0.6752
0.3175 0.9383 0.0000
0.4619 0.2041 0.3651
0.7536 0.2201 0.2179
0.8048 0.5332 0.0000
0.0448 0.3664 0.8733
0.0699 0.1082 0.8210
0.0448 0.3664 0.1267
0.9789 0.8012 0.8713
0.5571 0.6440 0.3787
0.8025 0.0523 0.5000
0.4429 0.1440 0.8787
0.0699 0.1082 0.1790
0.1975 0.5523 0.0000
0.4429 0.1440 0.1213
0.1952 0.0332 0.5000
0.3000 0.4814 0.5000
0.5381 0.7041 0.8651
0.9552 0.8664 0.6267
0.0211 0.3012 0.3713
0.2464 0.7201 0.2821
0.9552 0.8664 0.3733
0.6825 0.4383 0.5000
0.5197 0.9021 0.3248
0.4619 0.2041 0.6349
0.4803 0.4021 0.1752
0.7536 0.2201 0.7821
0.7000 0.9814 0.0000
0.2505 0.4918 0.2270
0.2505 0.4918 0.7730
0.7495 0.9918 0.7270
0.7070 0.5490 0.7897
0.7255 0.7600 0.5000
0.4979 0.0045 0.5000
0.2930 0.0490 0.7103
0.7495 0.9918 0.2730
0.2930 0.0490 0.2897
0.2745 0.2600 0.0000
0.5021 0.5045 0.0000
0.7070 0.5490 0.2103
0.2644 0.7444 0.0000
0.9827 0.4951 0.5000
0.2497 0.2581 0.5000
0.0173 0.9951 0.0000
0.7356 0.2444 0.5000
0.7503 0.7581 0.0000
0.0217 0.7458 0.7266
0.4689 0.7550 0.7231
0.0217 0.7458 0.2734
0.4915 0.0400 0.0000
0.0069 0.4656 0.0000
0.5311 0.2550 0.7769
0.9783 0.2458 0.2266
0.9783 0.2458 0.7734
0.5311 0.2550 0.2231
0.4689 0.7550 0.2769
0.9931 0.9656 0.5000
0.5085 0.5400 0.5000
```

The calculation puts the energy relative to the elements at -2939.3 kJ/mol of formula units. As for the final energy: -7.11 eV per atom.

***

# 8
Computed, not measured: crystalline Ba2Pr2Co4O11 at its relaxed geometry at the PBE with a Hubbard U level of DFT.

The structure in POSCAR format:
```
Ba2Pr2Co4O11
1.0
-1.0242 2.4933 -2.9268
-7.4535 -1.8961 0.9929
-0.7929 5.8900 5.2952
O Co Pr Ba
11 4 2 2
direct
0.5000 0.2694 0.5000
0.0000 0.0000 0.0000
0.0000 0.0000 0.5000
0.0000 0.7084 0.7721
0.0000 0.2916 0.7721
0.5000 0.7306 0.5000
0.5000 0.6943 0.0000
0.5000 0.3057 0.0000
0.0000 0.2916 0.2279
0.0000 0.7084 0.2279
0.0000 0.5000 0.5000
0.0000 0.7465 0.0000
0.0000 0.2535 0.0000
0.0000 0.2511 0.5000
0.0000 0.7489 0.5000
0.5000 0.5000 0.7312
0.5000 0.5000 0.2688
0.5000 0.0000 0.2493
0.5000 0.0000 0.7507
```

The calculation puts the energy relative to the elements at -4207.9 kJ/mol of formula units. As for the final energy: -6.62 eV per atom.

***

# 9
Computed, not measured: crystalline LiMn3O2F6 at its relaxed geometry at the PBE with a Hubbard U level of DFT.

The structure in POSCAR format:
```
LiMn3O2F6
1.0
-5.2865 0.0000 0.0000
1.0341 5.3023 0.0000
-0.2069 -2.1848 -5.7374
Li O Mn F
1 2 3 6
direct
0.4674 0.9702 0.7288
0.8842 0.3287 0.8295
0.5904 0.7009 0.8947
0.2505 0.4994 0.8667
0.7510 0.4975 0.6285
0.7637 0.5177 0.1296
0.3846 0.2228 0.5956
0.4220 0.2933 0.0447
0.8535 0.2890 0.3320
0.1047 0.7250 0.1787
0.6541 0.7127 0.4474
0.1432 0.7287 0.7051
```

The calculation puts the energy relative to the elements at -2974.3 kJ/mol of formula units. The piezoelectric modulus e_max is 0.30 C/m2. As for the final energy: -6.04 eV per atom.

***

no.,calculated volume (Å³/f.u.)
1,199
2,77
3,591
4,259
5,369
6,75
7,125
8,246
9,161